# S

Crystalline S at its relaxed geometry (PBE, Materials Project).

Calculated values
E_form	0.028	eV per atom
E_tot	-427.24	eV for the cell shown

Unit cell a=14.019 b=13.618 c=19.111 alpha=90.00 beta=108.78 gamma=90.00
Fractional positions:
S 0.003 0.179 0.240
S 0.003 0.321 0.740
S 0.040 0.174 0.760
S 0.040 0.326 0.260
S 0.057 0.605 0.606
S 0.057 0.895 0.106
S 0.074 0.599 0.718
S 0.074 0.901 0.218
S 0.080 0.659 0.370
S 0.080 0.841 0.870
S 0.094 0.130 0.559
S 0.094 0.370 0.059
S 0.105 0.093 0.457
S 0.105 0.407 0.957
S 0.148 0.717 0.589
S 0.148 0.783 0.089
S 0.178 0.540 0.968
S 0.178 0.960 0.468
S 0.207 0.150 0.106
S 0.207 0.350 0.606
S 0.225 0.200 0.620
S 0.225 0.300 0.120
S 0.232 0.669 0.382
S 0.232 0.831 0.882
S 0.243 0.108 0.013
S 0.243 0.392 0.513
S 0.263 0.559 0.237
S 0.263 0.941 0.737
S 0.275 0.538 0.349
S 0.275 0.962 0.849
S 0.291 0.663 0.618
S 0.291 0.837 0.118
S 0.317 0.197 0.370
S 0.317 0.303 0.870
S 0.332 0.505 0.993
S 0.332 0.995 0.493
S 0.343 0.071 0.326
S 0.343 0.429 0.826
S 0.354 0.698 0.732
S 0.354 0.802 0.232
S 0.380 0.545 0.910
S 0.380 0.955 0.410
S 0.396 0.083 0.043
S 0.396 0.417 0.543
S 0.401 0.558 0.226
S 0.401 0.942 0.726
S 0.453 0.224 0.919
S 0.453 0.276 0.419
S 0.465 0.213 0.029
S 0.465 0.287 0.529
S 0.465 0.705 0.249
S 0.465 0.795 0.749
S 0.535 0.205 0.251
S 0.535 0.295 0.751
S 0.535 0.713 0.471
S 0.535 0.787 0.971
S 0.547 0.724 0.581
S 0.547 0.776 0.081
S 0.599 0.058 0.274
S 0.599 0.442 0.774
S 0.604 0.583 0.457
S 0.604 0.917 0.957
S 0.620 0.045 0.590
S 0.620 0.455 0.090
S 0.646 0.198 0.768
S 0.646 0.302 0.268
S 0.657 0.571 0.174
S 0.657 0.929 0.674
S 0.668 0.005 0.507
S 0.668 0.495 0.007
S 0.683 0.697 0.130
S 0.683 0.803 0.630
S 0.709 0.163 0.882
S 0.709 0.337 0.382
S 0.725 0.038 0.151
S 0.725 0.462 0.651
S 0.737 0.059 0.263
S 0.737 0.441 0.763
S 0.757 0.608 0.487
S 0.757 0.892 0.987
S 0.768 0.169 0.118
S 0.768 0.331 0.618
S 0.775 0.700 0.880
S 0.775 0.800 0.380
S 0.793 0.650 0.394
S 0.793 0.850 0.894
S 0.822 0.040 0.532
S 0.822 0.460 0.032
S 0.852 0.217 0.911
S 0.852 0.283 0.411
S 0.895 0.593 0.043
S 0.895 0.907 0.543
S 0.906 0.630 0.941
S 0.906 0.870 0.441
S 0.920 0.159 0.130
S 0.920 0.341 0.630
S 0.926 0.099 0.782
S 0.926 0.401 0.282
S 0.943 0.105 0.894
S 0.943 0.395 0.394
S 0.960 0.674 0.740
S 0.960 0.826 0.240
S 0.997 0.679 0.260
S 0.997 0.821 0.760